DFT (PBE-GGA) results for crystalline K2MgH4I4O14 at its relaxed geometry.

Cell lengths 8.0560, 8.0560, 8.3791 Å; angles 59.25, 59.25, 61.04 degrees
With the nearest neighbours (Å) after each atom.
Fractional positions:
O1 0.1376 0.1274 0.5857  1 H 1.75, 1 I 1.83
O2 0.4570 0.2613 0.4714  1 I 1.85
O3 0.6790 0.5636 0.1795  1 I 1.84
O4 0.3294 0.6706 0.5000  2 H 1.00
O5 0.4364 0.3210 0.8205  1 I 1.84
I1 0.1921 0.3650 0.4823  3 O 1.83-1.85
O6 0.8291 0.1709 0.5000  2 H 1.00
O7 0.8726 0.8624 0.4143  1 H 1.75, 1 I 1.83
H1 0.8560 0.0593 0.4614  1 O 1.00
H2 0.2165 0.6907 0.6248  1 O 1.00
I2 0.6359 0.8327 0.0204  3 O 1.84
I3 0.1673 0.3641 0.9796  3 O 1.84
O8 0.2463 0.4434 0.2168  1 I 1.84
O9 0.0687 0.2895 0.8790  1 I 1.84
O10 0.7105 0.9313 0.1210  1 I 1.84
I4 0.6350 0.8079 0.5177  3 O 1.83-1.85
O11 0.5566 0.7537 0.7832  1 I 1.84
K1 0.1340 0.8660 0.0000  8 O 2.84-2.99
H3 0.3093 0.7835 0.3752  1 O 1.00
H4 0.9407 0.1440 0.5386  1 O 1.00
O12 0.0790 0.6420 0.8648  1 H 1.66, 1 I 1.84
O13 0.3580 0.9210 0.1352  1 H 1.66, 1 I 1.84
O14 0.7387 0.5430 0.5286  1 I 1.85
K2 0.6553 0.3447 0.0000  6 O 2.76-2.96
Mg1 0.5808 0.4192 0.5000  6 O 2.03-2.17

Output
The formation energy from the elements is -132 kJ per mole of atoms. For the calculated volume, the calculation gives 383 Å³/cell. Its total magnetization is 0.00 μB per formula unit. For the total DFT energy (no corrections), the calculation gives -4.6912 eV per atom.